Here is crystalline Na7Al4P9O32 at its relaxed geometry from Materials Project. Energies are from PBE-GGA.

abc: 14.2236 14.2236 6.2374
angles: 90.00 90.00 90.00
Positions (direct):
O (0.9271, 0.6010, 0.9391)
O (0.6687, 0.3627, 0.3284)
O (0.9477, 0.0684, 0.1525)
O (0.0684, 0.0523, 0.8475)
O (0.8072, 0.9035, 0.5572)
O (0.3136, 0.0419, 0.2881)
O (0.7360, 0.6125, 0.2960)
O (0.0729, 0.3990, 0.9391)
O (0.3072, 0.5965, 0.9428)
O (0.9891, 0.2560, 0.0934)
O (0.1864, 0.5419, 0.2119)
O (0.3313, 0.6373, 0.3284)
O (0.7560, 0.4891, 0.5934)
O (0.5523, 0.5684, 0.3475)
O (0.4891, 0.2440, 0.4066)
O (0.5684, 0.4477, 0.6525)
O (0.7640, 0.1125, 0.2040)
O (0.8313, 0.8627, 0.1716)
O (0.6373, 0.6687, 0.6716)
O (0.8049, 0.2885, 0.1207)
O (0.8627, 0.1687, 0.8284)
O (0.7440, 0.9891, 0.9066)
O (0.0523, 0.9316, 0.1525)
O (0.4581, 0.1864, 0.7881)
O (0.3049, 0.2115, 0.3793)
O (0.1125, 0.2360, 0.7960)
O (0.4035, 0.3072, 0.0572)
O (0.7115, 0.8049, 0.8793)
O (0.4316, 0.5523, 0.6525)
O (0.1928, 0.0965, 0.5572)
O (0.8875, 0.7640, 0.7960)
O (0.1373, 0.8313, 0.8284)
O (0.9316, 0.9477, 0.8475)
O (0.2640, 0.3875, 0.2960)
O (0.6864, 0.9581, 0.2881)
O (0.0109, 0.7440, 0.0934)
O (0.4477, 0.4316, 0.3475)
O (0.0419, 0.6864, 0.7119)
O (0.6951, 0.7885, 0.3793)
O (0.7885, 0.3049, 0.6207)
O (0.6125, 0.2640, 0.7040)
O (0.2885, 0.1951, 0.8793)
O (0.3875, 0.7360, 0.7040)
O (0.4271, 0.8990, 0.5609)
O (0.5109, 0.7560, 0.4066)
O (0.6928, 0.4035, 0.9428)
O (0.2440, 0.5109, 0.5934)
O (0.2115, 0.6951, 0.6207)
O (0.3990, 0.9271, 0.0609)
O (0.8136, 0.4581, 0.2119)
O (0.5419, 0.8136, 0.7881)
O (0.9581, 0.3136, 0.7119)
O (0.5729, 0.1010, 0.5609)
O (0.1951, 0.7115, 0.1207)
O (0.2360, 0.8875, 0.2040)
O (0.2560, 0.0109, 0.9066)
O (0.3627, 0.3313, 0.6716)
O (0.9035, 0.1928, 0.4428)
O (0.1010, 0.4271, 0.4391)
O (0.8990, 0.5729, 0.4391)
O (0.6010, 0.0729, 0.0609)
O (0.1687, 0.1373, 0.1716)
O (0.0965, 0.8072, 0.4428)
O (0.5965, 0.6928, 0.0572)
P (0.7580, 0.8723, 0.3501)
P (0.7420, 0.3723, 0.1499)
P (0.2420, 0.1277, 0.3501)
P (0.7004, 0.0382, 0.1005)
P (0.1277, 0.7580, 0.6499)
P (0.8723, 0.2420, 0.6499)
P (0.6277, 0.7420, 0.8501)
P (0.2996, 0.9618, 0.1005)
P (0.4618, 0.7996, 0.6005)
P (0.5000, 0.5000, 0.5000)
P (0.0382, 0.2996, 0.8995)
P (0.9618, 0.7004, 0.8995)
P (0.5382, 0.2004, 0.6005)
P (0.7996, 0.5382, 0.3995)
P (0.0000, 0.0000, 0.0000)
P (0.2004, 0.4618, 0.3995)
P (0.3723, 0.2580, 0.8501)
P (0.2580, 0.6277, 0.1499)
Na (0.7410, 0.0770, 0.5923)
Na (0.2410, 0.4230, 0.9077)
Na (0.5000, 0.5000, 0.0000)
Na (0.5000, 0.0000, 0.8154)
Na (0.0000, 0.5000, 0.1846)
Na (0.5000, 0.0000, 0.3154)
Na (0.5770, 0.2410, 0.0923)
Na (0.0000, 0.5000, 0.6846)
Na (0.4230, 0.7590, 0.0923)
Na (0.0770, 0.2590, 0.4077)
Na (0.2590, 0.9230, 0.5923)
Na (0.9230, 0.7410, 0.4077)
Na (0.0000, 0.0000, 0.5000)
Na (0.7590, 0.5770, 0.9077)
Al (0.6791, 0.3779, 0.6371)
Al (0.3209, 0.6221, 0.6371)
Al (0.8209, 0.8779, 0.8629)
Al (0.1221, 0.8209, 0.1371)
Al (0.3779, 0.3209, 0.3629)
Al (0.1791, 0.1221, 0.8629)
Al (0.6221, 0.6791, 0.3629)
Al (0.8779, 0.1791, 0.1371)

Summary:
symmetry: No. 114
calculated formation energy: -2.854 eV/atom

Here is crystalline Na5Al4P5SO24 at its relaxed geometry from Materials Project. Energies are from PBE-GGA.

abc: 8.5066 8.5308 21.5302
angles: 90.32 89.82 119.88
Positions (direct):
O (0.8783, 0.3730, 0.6425)
O (0.2990, 0.8370, 0.9744)
O (0.5077, 0.6361, 0.8608)
O (0.4798, 0.3077, 0.7420)
O (0.5047, 0.8689, 0.3574)
O (0.5381, 0.6976, 0.9727)
O (0.9661, 0.1656, 0.3061)
O (0.6891, 0.1660, 0.7435)
O (0.5382, 0.8341, 0.4737)
O (0.8718, 0.4988, 0.1385)
O (0.2982, 0.4562, 0.4725)
O (0.5191, 0.8292, 0.7577)
O (0.8034, 0.8284, 0.9108)
O (0.3558, 0.5026, 0.0758)
O (0.1719, 0.4804, 0.2581)
O (0.8245, 0.7894, 0.3096)
O (0.1343, 0.6341, 0.3597)
O (0.5048, 0.1479, 0.9239)
O (0.4663, 0.1678, 0.5261)
O (0.4980, 0.3659, 0.1416)
O (0.1665, 0.6896, 0.7566)
O (0.2108, 0.1688, 0.8068)
O (0.1771, 0.9701, 0.1930)
O (0.1284, 0.4965, 0.8590)
O (0.4952, 0.3590, 0.4230)
O (0.4647, 0.2961, 0.0261)
O (0.3574, 0.8576, 0.5765)
O (0.8374, 0.0256, 0.0907)
O (0.9660, 0.7966, 0.8095)
O (0.0357, 0.8318, 0.6926)
O (0.4956, 0.6446, 0.5749)
O (0.8278, 0.3044, 0.2428)
O (0.4949, 0.8540, 0.0750)
O (0.7929, 0.9654, 0.6902)
O (0.6377, 0.1461, 0.4236)
O (0.0348, 0.2077, 0.1905)
O (0.1674, 0.2093, 0.6933)
O (0.6324, 0.5018, 0.6398)
O (0.7013, 0.5376, 0.5237)
O (0.8297, 0.5188, 0.7435)
O (0.3086, 0.8385, 0.2556)
O (0.1609, 0.4610, 0.9752)
O (0.6417, 0.5051, 0.9224)
O (0.8383, 0.5417, 0.0231)
O (0.3666, 0.8719, 0.8580)
O (0.9805, 0.8164, 0.0916)
O (0.8351, 0.2936, 0.5275)
O (0.6251, 0.1222, 0.1428)
O (0.1452, 0.6456, 0.0758)
O (0.4980, 0.1275, 0.6419)
O (0.1899, 0.1660, 0.0907)
O (0.8106, 0.9761, 0.4099)
O (0.6891, 0.5178, 0.2428)
O (0.8329, 0.8096, 0.5894)
O (0.4703, 0.1615, 0.2449)
O (0.7069, 0.1667, 0.0279)
O (0.1850, 0.0215, 0.5906)
O (0.1470, 0.5048, 0.5754)
O (0.8556, 0.3619, 0.9237)
O (0.1682, 0.1939, 0.4086)
O (0.3683, 0.4921, 0.3614)
O (0.7958, 0.8332, 0.1946)
O (0.2019, 0.0299, 0.3055)
O (0.5202, 0.6926, 0.2583)
O (0.0227, 0.1850, 0.9094)
O (0.9749, 0.1615, 0.5909)
O (0.3087, 0.4800, 0.7590)
O (0.1604, 0.9711, 0.9099)
O (0.1591, 0.6974, 0.4761)
O (0.8519, 0.5013, 0.4235)
O (0.0249, 0.8383, 0.4092)
O (0.8363, 0.0359, 0.8064)
Na (0.0117, 0.0117, 0.4994)
Na (0.0301, 0.6986, 0.5829)
Na (0.6588, 0.3288, 0.8342)
Na (0.6410, 0.0000, 0.2503)
Na (0.6665, 0.9687, 0.5834)
Na (0.3024, 0.9712, 0.0820)
Na (0.3641, 0.9995, 0.7504)
Na (0.9979, 0.3625, 0.7500)
Na (0.7010, 0.6688, 0.4172)
Na (0.0319, 0.3349, 0.0835)
Na (0.6763, 0.3375, 0.3333)
Na (0.9728, 0.6666, 0.9167)
Na (0.3405, 0.6573, 0.6667)
Na (0.9975, 0.0049, 0.9989)
Na (0.3354, 0.6550, 0.1675)
P (0.3783, 0.0510, 0.5830)
P (0.0438, 0.3734, 0.9168)
P (0.6195, 0.9590, 0.4160)
P (0.3373, 0.9599, 0.9166)
P (0.3835, 0.3377, 0.0837)
P (0.9515, 0.6241, 0.0823)
P (0.7091, 0.7055, 0.2505)
P (0.0468, 0.6680, 0.4165)
P (0.0042, 0.2920, 0.2501)
P (0.9603, 0.3334, 0.5838)
P (0.2929, 0.2929, 0.7500)
P (0.9939, 0.7108, 0.7505)
P (0.6611, 0.6174, 0.5824)
P (0.7109, 0.9948, 0.7501)
P (0.6651, 0.0411, 0.0840)
Al (0.6752, 0.3467, 0.1851)
Al (0.3327, 0.6696, 0.5193)
Al (0.9893, 0.9949, 0.3523)
Al (0.0038, 0.0056, 0.6479)
Al (0.3338, 0.6683, 0.8139)
Al (0.3318, 0.6643, 0.0195)
Al (0.6635, 0.3219, 0.9818)
Al (0.6737, 0.3278, 0.4816)
Al (0.9895, 0.9982, 0.1473)
Al (0.0099, 0.0125, 0.8516)
Al (0.3266, 0.6598, 0.3143)
Al (0.6652, 0.3388, 0.6855)
S (0.3287, 0.3737, 0.4166)
S (0.2857, 0.0008, 0.2503)
S (0.6192, 0.6667, 0.9166)

Summary:
symmetry: No. 1
calculated formation energy: -2.804 eV/atom

Here is crystalline NaAl2PS2O12 at its relaxed geometry from Materials Project. Energies are from PBE-GGA.

abc: 8.3003 8.3005 21.7100
angles: 90.00 90.00 120.00
Positions (direct):
P (0.2893, 0.0020, 0.2504)
P (0.3333, 0.9585, 0.9167)
P (0.7127, 0.0020, 0.7504)
P (0.6252, 0.9585, 0.4167)
P (0.6667, 0.6181, 0.5834)
P (0.9515, 0.6181, 0.0834)
O (0.0321, 0.2057, 0.1939)
O (0.3647, 0.4938, 0.3605)
O (0.5033, 0.8574, 0.0759)
O (0.2982, 0.8374, 0.9740)
O (0.9792, 0.1699, 0.5907)
O (0.0377, 0.8278, 0.6946)
O (0.4573, 0.2977, 0.0277)
O (0.5049, 0.6300, 0.8613)
O (0.2077, 0.1732, 0.8055)
O (0.0260, 0.1929, 0.9095)
O (0.1251, 0.6300, 0.3613)
O (0.1415, 0.5030, 0.5748)
O (0.8363, 0.0282, 0.0919)
O (0.5376, 0.6980, 0.9728)
O (0.1919, 0.0282, 0.5919)
O (0.7976, 0.9669, 0.6929)
O (0.1688, 0.4734, 0.2581)
O (0.6910, 0.1749, 0.7411)
O (0.1668, 0.1929, 0.4095)
O (0.8326, 0.5262, 0.7426)
O (0.7011, 0.1586, 0.0278)
O (0.6309, 0.1238, 0.1389)
O (0.5075, 0.1519, 0.9261)
O (0.6334, 0.4985, 0.6411)
O (0.4918, 0.3676, 0.1389)
O (0.1907, 0.1699, 0.0907)
O (0.4736, 0.3082, 0.7428)
O (0.0275, 0.8334, 0.4096)
O (0.5041, 0.8725, 0.3594)
O (0.8346, 0.3082, 0.2428)
O (0.6935, 0.5262, 0.2426)
O (0.4999, 0.3608, 0.4237)
O (0.1604, 0.6980, 0.4728)
O (0.8404, 0.2977, 0.5277)
O (0.1592, 0.9778, 0.9073)
O (0.9654, 0.1732, 0.3055)
O (0.3615, 0.5030, 0.0748)
O (0.1617, 0.4584, 0.9720)
O (0.1646, 0.6885, 0.7574)
O (0.1459, 0.6385, 0.0761)
O (0.8186, 0.9778, 0.4073)
O (0.8408, 0.8126, 0.5906)
O (0.7901, 0.8278, 0.1946)
O (0.8609, 0.3608, 0.9237)
O (0.6407, 0.5002, 0.9239)
O (0.6444, 0.1519, 0.4261)
O (0.8651, 0.4985, 0.1411)
O (0.7000, 0.5319, 0.5255)
O (0.1693, 0.9669, 0.1929)
O (0.8595, 0.5002, 0.4239)
O (0.2967, 0.4584, 0.4720)
O (0.8319, 0.5319, 0.0255)
O (0.1290, 0.4938, 0.8605)
O (0.3541, 0.8574, 0.5759)
O (0.9663, 0.7923, 0.8056)
O (0.3047, 0.4734, 0.7581)
O (0.5194, 0.8266, 0.7577)
O (0.8058, 0.8334, 0.9096)
O (0.4575, 0.1586, 0.5278)
O (0.4926, 0.6385, 0.5761)
O (0.5238, 0.6885, 0.2574)
O (0.4839, 0.1749, 0.2411)
O (0.8758, 0.3676, 0.6389)
O (0.4929, 0.1238, 0.6389)
O (0.8260, 0.7923, 0.3056)
O (0.1736, 0.2057, 0.6939)
O (0.2020, 0.0354, 0.3080)
O (0.3684, 0.8725, 0.8594)
O (0.8334, 0.0354, 0.8080)
O (0.5392, 0.8374, 0.4740)
O (0.3072, 0.8266, 0.2577)
O (0.9718, 0.8126, 0.0906)
Na (0.3280, 0.6693, 0.1667)
Na (0.6618, 0.3254, 0.3333)
Na (0.3413, 0.6693, 0.6667)
Na (0.6636, 0.3254, 0.8333)
Na (0.0028, 0.9949, 0.0000)
Na (0.9921, 0.9949, 0.5000)
Al (0.6663, 0.3339, 0.9806)
Al (0.0050, 0.9903, 0.1471)
Al (0.3434, 0.6817, 0.8140)
Al (0.3230, 0.6718, 0.0195)
Al (0.3488, 0.6718, 0.5195)
Al (0.3383, 0.6817, 0.3140)
Al (0.6676, 0.3339, 0.4806)
Al (0.9854, 0.9903, 0.6471)
Al (0.6654, 0.3325, 0.6861)
Al (0.6671, 0.3325, 0.1861)
Al (0.0003, 0.0017, 0.8526)
Al (0.0014, 0.0017, 0.3526)
S (0.7114, 0.7115, 0.2500)
S (0.6196, 0.6664, 0.9172)
S (0.9571, 0.3352, 0.5832)
S (0.6683, 0.0447, 0.0836)
S (0.0468, 0.6664, 0.4172)
S (0.3764, 0.0447, 0.5836)
S (0.3781, 0.3352, 0.0832)
S (0.3330, 0.3801, 0.4162)
S (0.0471, 0.3801, 0.9162)
S (0.0015, 0.2882, 0.2496)
S (0.0002, 0.7115, 0.7500)
S (0.2867, 0.2882, 0.7496)

Summary:
symmetry: No. 9
calculated formation energy: -2.556 eV/atom